Entry 1:
DyMgS3 | the Materials Project database | PBE | optimized geometry; E above lowest polymorph = 0 meV per atom; total energy after the MP2020 corrections = -0.1969 hartree per atom; energy of formation from the pure elements = -1635.9 meV per atom
1.0
6.677 0.000 0.000
-3.338 5.782 0.000
0.000 0.000 18.130
Dy Mg S
6 6 18
Direct
0.000 0.000 0.346
0.000 0.000 0.654
0.667 0.333 0.679
0.667 0.333 0.987
0.333 0.667 0.013
0.333 0.667 0.321
0.000 0.000 0.154
0.000 0.000 0.846
0.667 0.333 0.488
0.667 0.333 0.179
0.333 0.667 0.821
0.333 0.667 0.512
0.982 0.343 0.580
0.018 0.657 0.420
0.657 0.638 0.580
0.343 0.362 0.420
0.362 0.018 0.580
0.638 0.982 0.420
0.648 0.676 0.914
0.685 0.990 0.753
0.324 0.972 0.914
0.010 0.695 0.753
0.028 0.352 0.914
0.305 0.315 0.753
0.315 0.010 0.247
0.352 0.324 0.086
0.990 0.305 0.247
0.676 0.028 0.086
0.695 0.685 0.247
0.972 0.648 0.086

=====

Entry 2:
DyMgS3 | the Materials Project database | PBE | optimized geometry; E above lowest polymorph = 79 meV per atom; symmetry = C2/m, No. 12; total energy after the MP2020 corrections = -0.1940 hartree per atom; energy of formation from the pure elements = -1556.6 meV per atom
1.0
3.892 -5.720 0.000
3.892 5.720 0.000
-3.417 0.000 5.839
Dy Mg S
2 2 6
Direct
0.219 0.219 0.249
0.781 0.781 0.751
0.339 0.661 0.000
0.661 0.339 0.000
0.078 0.775 0.153
0.225 0.922 0.847
0.417 0.417 0.709
0.583 0.583 0.291
0.775 0.078 0.153
0.922 0.225 0.847

=====

Entry 3:
DyMgTiS4 | the Materials Project database | PBE | optimized geometry; symmetry = C2/m, No. 12; total energy after the MP2020 corrections = -0.2291 hartree per atom; energy of formation from the pure elements = -1854.8 meV per atom
1.0
6.540 -3.876 0.000
6.540 3.876 0.000
-4.239 0.000 6.127
Dy Mg Ti S
2 2 2 8
Direct
0.000 0.500 0.000
0.500 0.000 0.000
0.123 0.123 0.373
0.877 0.877 0.627
0.500 0.500 0.000
0.500 0.500 0.500
0.268 0.268 0.267
0.268 0.268 0.769
0.273 0.721 0.747
0.279 0.727 0.253
0.721 0.273 0.747
0.727 0.279 0.253
0.732 0.732 0.231
0.732 0.732 0.733

=====

Entry 4:
DyMgVS4 | the Materials Project database | PBE | optimized geometry; symmetry = C2/c, No. 15; total energy after the MP2020 corrections = -0.2287 hartree per atom; energy of formation from the pure elements = -1674.1 meV per atom
1.0
5.377 -5.334 0.000
5.377 5.334 0.000
-5.286 0.000 5.381
Dy Mg V S
2 2 2 8
Direct
0.000 0.500 0.000
0.500 0.000 0.500
0.123 0.877 0.750
0.877 0.123 0.250
0.500 0.500 0.000
0.500 0.500 0.500
0.268 0.731 0.000
0.269 0.732 0.500
0.280 0.288 0.534
0.288 0.280 0.034
0.712 0.720 0.966
0.720 0.712 0.466
0.731 0.268 0.500
0.732 0.269 0.000

=====

Entry 5:
Dy3Mg2WS8 | the Materials Project database | PBE | optimized geometry; symmetry = R-3m, No. 166; total energy after the MP2020 corrections = -0.2307 hartree per atom; energy of formation from the pure elements = -1771.3 meV per atom
1.0
3.918 2.262 6.202
-3.918 2.262 6.202
0.000 -4.525 6.202
Dy Mg W S
3 2 1 8
Direct
0.000 0.500 0.500
0.500 0.000 0.500
0.500 0.500 0.000
0.125 0.125 0.125
0.875 0.875 0.875
0.500 0.500 0.500
0.255 0.255 0.255
0.267 0.267 0.732
0.267 0.732 0.267
0.268 0.733 0.733
0.732 0.267 0.267
0.733 0.268 0.733
0.733 0.733 0.268
0.745 0.745 0.745

=====

Entry 6:
DyMgWS4 | the Materials Project database | PBE | optimized geometry; symmetry = Imma, No. 74; total energy after the MP2020 corrections = -0.2383 hartree per atom; energy of formation from the pure elements = -1384.2 meV per atom
1.0
-3.790 3.829 5.371
3.790 -3.829 5.371
3.790 3.829 -5.371
Dy Mg W S
2 2 2 8
Direct
0.000 0.000 0.000
0.500 0.000 0.500
0.376 0.626 0.750
0.624 0.374 0.250
0.000 0.000 0.500
0.000 0.500 0.000
0.216 0.746 0.470
0.224 0.254 0.970
0.233 0.233 0.500
0.233 0.732 0.000
0.767 0.268 0.000
0.767 0.767 0.500
0.776 0.746 0.030
0.784 0.254 0.530

=====

Entry 7:
DyMg2W3S8 | the Materials Project database | PBE | optimized geometry; symmetry = C2/m, No. 12; total energy after the MP2020 corrections = -0.2477 hartree per atom; energy of formation from the pure elements = -1041.4 meV per atom
1.0
6.181 -3.792 0.000
6.181 3.792 0.000
-4.078 0.000 6.211
Dy Mg W S
1 2 3 8
Direct
0.000 0.000 0.000
0.377 0.377 0.121
0.623 0.623 0.879
0.000 0.000 0.500
0.000 0.500 0.500
0.500 0.000 0.500
0.228 0.749 0.720
0.243 0.243 0.720
0.251 0.772 0.280
0.257 0.257 0.290
0.743 0.743 0.710
0.749 0.228 0.720
0.757 0.757 0.280
0.772 0.251 0.280

=====

Entry 8:
Dy2MgSi2 | the Materials Project database | PBE | optimized geometry; symmetry = P4/mbm, No. 127; total energy after the MP2020 corrections = -0.1845 hartree per atom; energy of formation from the pure elements = -686.5 meV per atom
1.0
7.160 0.000 0.000
0.000 7.160 0.000
0.000 0.000 4.226
Dy Mg Si
4 2 4
Direct
0.178 0.322 0.000
0.322 0.822 0.000
0.678 0.178 0.000
0.822 0.678 0.000
0.000 0.000 0.500
0.500 0.500 0.500
0.118 0.618 0.500
0.382 0.118 0.500
0.618 0.882 0.500
0.882 0.382 0.500

=====

Question: Which of these has the highest total energy after the MP2020 corrections?
Answer: Dy2MgSi2